Computed, not measured: PmYZn2 after structural relaxation at the r²SCAN level of DFT.

Cell lengths 5.0997, 5.0997, 5.0997 Å; angles 60.00, 60.00, 60.00 degrees
Sites, in units of the cell vectors:
Pm (0.5000, 0.5000, 0.5000)
Y (0.0000, 0.0000, 0.0000)
Zn (0.2500, 0.2500, 0.2500)
Zn (0.7500, 0.7500, 0.7500)

- Space group: Fm-3m


Computed, not measured: Yb3Pm after structural relaxation at the r²SCAN level of DFT.

Cell lengths 5.6047, 5.6047, 5.6047 Å; angles 60.00, 60.00, 60.00 degrees
Sites, in units of the cell vectors:
Yb (0.2500, 0.2500, 0.2500)
Yb (0.7500, 0.7500, 0.7500)
Yb (0.5000, 0.5000, 0.5000)
Pm (0.0000, 0.0000, 0.0000)

- Space group: Fm-3m


Computed, not measured: YbPmZn2 after structural relaxation at the r²SCAN level of DFT.

Cell lengths 5.0420, 5.0420, 5.0420 Å; angles 60.00, 60.00, 60.00 degrees
Sites, in units of the cell vectors:
Yb (0.0000, 0.0000, 0.0000)
Pm (0.5000, 0.5000, 0.5000)
Zn (0.2500, 0.2500, 0.2500)
Zn (0.7500, 0.7500, 0.7500)

- Space group: Fm-3m


Computed, not measured: PmZn3 after structural relaxation at the r²SCAN level of DFT.

Cell lengths 6.4366, 6.4366, 4.3368 Å; angles 90.00, 90.00, 120.00 degrees
Sites, in units of the cell vectors:
Pm (0.3333, 0.6667, 0.7500)
Pm (0.6667, 0.3333, 0.2500)
Zn (0.1420, 0.2839, 0.2500)
Zn (0.7161, 0.8580, 0.2500)
Zn (0.1420, 0.8580, 0.2500)
Zn (0.8580, 0.7161, 0.7500)
Zn (0.2839, 0.1420, 0.7500)
Zn (0.8580, 0.1420, 0.7500)

- Space group: P6_3/mmc


So what do the calculations give for formation energy? Going down the list: -0.364 0.086 -0.370 -0.337 eV/atom.